Cu7PSe6 | PBE-GGA | optimized geometry

```
Cu7PSe6
1.0
10.073 0.000 0.000
0.000 10.073 0.000
0.000 0.000 10.073
Cu P Se
28 4 24
Direct
0.225 0.927 0.897
0.103 0.725 0.573
0.427 0.603 0.775
0.725 0.573 0.103
0.603 0.775 0.427
0.927 0.897 0.225
0.775 0.427 0.603
0.897 0.225 0.927
0.573 0.103 0.725
0.275 0.073 0.397
0.397 0.275 0.073
0.073 0.397 0.275
0.012 0.779 0.986
0.014 0.512 0.721
0.279 0.514 0.988
0.512 0.721 0.014
0.514 0.988 0.279
0.779 0.986 0.012
0.988 0.279 0.514
0.986 0.012 0.779
0.721 0.014 0.512
0.488 0.221 0.486
0.486 0.488 0.221
0.221 0.486 0.488
0.349 0.849 0.651
0.849 0.651 0.349
0.651 0.349 0.849
0.151 0.151 0.151
0.750 0.250 0.250
0.250 0.250 0.750
0.250 0.750 0.250
0.750 0.750 0.750
0.878 0.378 0.122
0.378 0.122 0.878
0.122 0.878 0.378
0.622 0.622 0.622
0.368 0.880 0.116
0.884 0.868 0.620
0.380 0.384 0.632
0.868 0.620 0.884
0.384 0.632 0.380
0.880 0.116 0.368
0.632 0.380 0.384
0.116 0.368 0.880
0.620 0.884 0.868
0.132 0.120 0.616
0.616 0.132 0.120
0.120 0.616 0.132
0.219 0.719 0.781
0.719 0.781 0.219
0.781 0.219 0.719
0.281 0.281 0.281
0.483 0.983 0.517
0.983 0.517 0.483
0.517 0.483 0.983
0.017 0.017 0.017
```

Output
size of the total moment: 0.0 μB per cell
energy relative to the elements: -0.257 eV per atom
distance to the lowest polymorph of the same formula: 20.5 meV/atom

---

K2GaP2 | PBE-GGA | optimized geometry

```
K2GaP2
1.0
14.102 0.000 0.000
0.000 8.752 0.000
0.000 5.304 9.729
K Ga P
16 8 16
Direct
0.117 0.512 0.932
0.383 0.512 0.432
0.883 0.488 0.068
0.614 0.212 0.974
0.629 0.012 0.462
0.386 0.788 0.026
0.886 0.212 0.474
0.869 0.579 0.598
0.369 0.421 0.902
0.131 0.421 0.402
0.631 0.579 0.098
0.871 0.012 0.962
0.371 0.988 0.538
0.129 0.988 0.038
0.617 0.488 0.568
0.114 0.788 0.526
0.558 0.008 0.757
0.058 0.992 0.743
0.442 0.992 0.243
0.783 0.854 0.755
0.283 0.146 0.745
0.217 0.146 0.245
0.717 0.854 0.255
0.942 0.008 0.257
0.536 0.735 0.778
0.319 0.367 0.217
0.819 0.633 0.283
0.714 0.109 0.725
0.214 0.891 0.775
0.286 0.891 0.275
0.786 0.109 0.225
0.555 0.791 0.257
0.055 0.209 0.243
0.445 0.209 0.743
0.681 0.633 0.783
0.945 0.791 0.757
0.964 0.735 0.278
0.464 0.265 0.222
0.036 0.265 0.722
0.181 0.367 0.717
```

Output
energy relative to the elements: -0.463 eV per atom

---

Tb2Si5Ru3 | PBE-GGA | optimized geometry

```
Tb2Si5Ru3
1.0
0.856 -6.895 4.469
7.519 1.935 2.821
-7.841 2.534 0.589
Tb Si Ru
4 10 6
Direct
0.098 0.865 0.233
0.902 0.135 0.767
0.367 0.635 0.733
0.633 0.365 0.267
0.000 0.750 0.750
0.000 0.250 0.250
0.292 0.042 0.750
0.708 0.458 0.750
0.708 0.958 0.250
0.292 0.542 0.250
0.764 0.596 0.169
0.427 0.096 0.331
0.573 0.904 0.669
0.236 0.404 0.831
0.239 0.146 0.093
0.500 0.250 0.750
0.053 0.646 0.407
0.947 0.354 0.593
0.761 0.854 0.907
0.500 0.750 0.250
```

Output
energy relative to the elements: -0.852 eV per atom

---

BaTeO3 | PBE-GGA | optimized geometry

```
BaTeO3
1.0
6.237 0.000 0.000
0.000 12.516 0.000
0.000 0.000 15.193
Ba Te O
12 12 36
Direct
0.250 0.858 0.194
0.250 0.872 0.484
0.750 0.142 0.806
0.750 0.128 0.516
0.750 0.358 0.306
0.750 0.372 0.016
0.250 0.136 0.005
0.750 0.636 0.495
0.250 0.364 0.505
0.250 0.642 0.694
0.250 0.628 0.984
0.750 0.864 0.995
0.250 0.385 0.162
0.250 0.348 0.815
0.750 0.403 0.638
0.750 0.615 0.838
0.250 0.597 0.362
0.250 0.903 0.862
0.250 0.115 0.662
0.750 0.885 0.338
0.750 0.097 0.138
0.750 0.652 0.185
0.250 0.152 0.315
0.750 0.848 0.685
0.250 0.845 0.977
0.523 0.712 0.116
0.020 0.500 0.383
0.023 0.212 0.384
0.250 0.426 0.043
0.250 0.074 0.543
0.750 0.345 0.523
0.480 0.500 0.383
0.750 0.155 0.023
0.977 0.712 0.116
0.250 0.495 0.842
0.750 0.995 0.658
0.482 0.288 0.157
0.520 0.000 0.117
0.982 0.788 0.343
0.523 0.788 0.616
0.980 0.500 0.617
0.750 0.574 0.957
0.477 0.288 0.884
0.250 0.655 0.477
0.982 0.712 0.843
0.020 0.000 0.883
0.520 0.500 0.617
0.482 0.212 0.657
0.477 0.212 0.384
0.023 0.288 0.884
0.750 0.926 0.457
0.018 0.212 0.657
0.750 0.505 0.158
0.250 0.005 0.342
0.518 0.712 0.843
0.018 0.288 0.157
0.480 0.000 0.883
0.518 0.788 0.343
0.977 0.788 0.616
0.980 0.000 0.117
```

Output
size of the total moment: 0.0 μB per cell
energy relative to the elements: -2.348 eV per atom

---

SnNF3 | PBE-GGA | optimized geometry

```
SnNF3
1.0
3.127 5.394 0.000
-3.127 5.394 0.000
0.000 3.661 5.737
Sn N F
2 2 6
Direct
0.331 0.335 0.999
0.665 0.669 0.001
0.133 0.113 0.667
0.887 0.867 0.333
0.569 0.579 0.784
0.421 0.431 0.216
0.419 0.929 0.216
0.071 0.581 0.784
0.587 0.076 0.785
0.924 0.413 0.215
```

Output
size of the total moment: 6.0 μB per cell
energy relative to the elements: -0.964 eV per atom
distance to the lowest polymorph of the same formula: 407.7 meV/atom

---

LiBeH3 | PBE-GGA | optimized geometry

```
LiBeH3
1.0
4.004 4.349 0.000
-4.004 4.349 0.000
0.000 1.541 4.432
Li Be H
4 4 12
Direct
0.099 0.901 0.250
0.291 0.709 0.750
0.709 0.291 0.250
0.901 0.099 0.750
0.627 0.802 0.261
0.802 0.627 0.761
0.198 0.373 0.239
0.373 0.198 0.739
0.792 0.980 0.161
0.394 0.884 0.342
0.980 0.792 0.661
0.632 0.656 0.041
0.656 0.632 0.541
0.116 0.606 0.158
0.884 0.394 0.842
0.344 0.368 0.459
0.368 0.344 0.959
0.020 0.208 0.339
0.606 0.116 0.658
0.208 0.020 0.839
```

Output
size of the total moment: 0.0 μB per cell
energy relative to the elements: -0.314 eV per atom
distance to the lowest polymorph of the same formula: 15.3 meV/atom

---

Na3In4P3S3O24 | PBE-GGA | optimized geometry

```
Na3In4P3S3O24
1.0
8.958 -0.008 -0.067
-4.486 7.755 0.075
-0.170 0.120 23.352
Na In P S O
9 12 9 9 72
Direct
0.358 0.359 0.252
0.692 0.026 0.917
0.974 0.307 0.417
0.005 0.998 0.500
0.001 0.994 0.000
0.661 0.335 0.833
0.667 0.333 0.333
0.332 0.679 0.166
0.333 0.667 0.667
0.011 0.000 0.350
0.000 0.994 0.850
0.993 0.006 0.649
0.998 0.004 0.150
0.673 0.328 0.684
0.671 0.320 0.184
0.661 0.333 0.983
0.666 0.339 0.483
0.343 0.678 0.017
0.323 0.658 0.517
0.322 0.667 0.316
0.345 0.677 0.816
0.294 0.999 0.248
0.999 0.293 0.251
0.705 0.000 0.751
0.961 0.334 0.583
0.668 0.037 0.082
0.627 0.663 0.917
0.330 0.961 0.916
0.337 0.374 0.416
0.038 0.669 0.417
0.705 0.705 0.250
0.296 0.296 0.750
0.000 0.705 0.749
0.371 0.038 0.584
0.666 0.628 0.584
0.961 0.628 0.083
0.372 0.335 0.084
0.043 0.376 0.917
0.626 0.958 0.417
0.220 0.036 0.302
0.809 0.780 0.302
0.969 0.186 0.307
0.220 0.189 0.802
0.974 0.781 0.801
0.813 0.030 0.807
0.787 0.970 0.698
0.192 0.218 0.698
0.030 0.813 0.697
0.780 0.809 0.198
0.034 0.214 0.199
0.182 0.969 0.195
0.879 0.363 0.635
0.475 0.116 0.636
0.637 0.520 0.636
0.882 0.524 0.136
0.637 0.118 0.135
0.476 0.363 0.137
0.451 0.309 0.033
0.855 0.551 0.031
0.698 0.145 0.026
0.447 0.145 0.531
0.693 0.552 0.532
0.854 0.304 0.527
0.549 0.699 0.970
0.146 0.452 0.969
0.297 0.851 0.971
0.550 0.855 0.469
0.303 0.455 0.468
0.149 0.702 0.471
0.113 0.630 0.364
0.523 0.883 0.365
0.366 0.481 0.360
0.118 0.480 0.864
0.367 0.883 0.863
0.517 0.631 0.863
0.013 0.827 0.411
0.802 0.982 0.412
0.165 0.197 0.412
0.019 0.199 0.912
0.172 0.985 0.910
0.805 0.834 0.911
0.979 0.170 0.587
0.196 0.018 0.589
0.825 0.800 0.589
0.980 0.801 0.088
0.832 0.020 0.088
0.200 0.177 0.089
0.688 0.163 0.746
0.470 0.315 0.744
0.842 0.534 0.744
0.682 0.528 0.244
0.841 0.318 0.246
0.471 0.171 0.243
0.651 0.505 0.923
0.866 0.353 0.921
0.501 0.138 0.922
0.648 0.135 0.422
0.495 0.351 0.423
0.860 0.498 0.423
0.352 0.489 0.078
0.132 0.641 0.078
0.504 0.856 0.079
0.358 0.867 0.578
0.513 0.649 0.578
0.143 0.497 0.579
0.319 0.841 0.255
0.529 0.683 0.255
0.170 0.471 0.255
0.309 0.467 0.755
0.154 0.684 0.755
0.524 0.836 0.754
```

Output
size of the total moment: 0.0 μB per cell
energy relative to the elements: -2.252 eV per atom

---

Dy2Te4O11 | PBE-GGA | optimized geometry

```
Dy2Te4O11
1.0
2.588 6.250 0.000
-2.588 6.250 0.000
0.000 4.315 15.726
Dy Te O
4 8 22
Direct
0.369 0.869 0.463
0.869 0.369 0.963
0.131 0.631 0.037
0.631 0.131 0.537
0.600 0.157 0.198
0.157 0.600 0.698
0.843 0.400 0.302
0.589 0.154 0.875
0.400 0.843 0.802
0.411 0.846 0.125
0.846 0.411 0.625
0.154 0.589 0.375
0.206 0.092 0.333
0.446 0.602 0.904
0.190 0.315 0.628
0.823 0.038 0.955
0.554 0.398 0.096
0.038 0.823 0.455
0.753 0.663 0.052
0.315 0.190 0.128
0.663 0.753 0.552
0.247 0.337 0.948
0.855 0.145 0.250
0.337 0.247 0.448
0.398 0.554 0.596
0.602 0.446 0.404
0.794 0.908 0.667
0.145 0.855 0.750
0.685 0.810 0.872
0.177 0.962 0.045
0.092 0.206 0.833
0.908 0.794 0.167
0.810 0.685 0.372
0.962 0.177 0.545
```

Output
energy relative to the elements: -2.306 eV per atom
distance to the lowest polymorph of the same formula: 0.0 meV/atom

---

LiCaMgSiN3 | PBE-GGA | optimized geometry

```
LiCaMgSiN3
1.0
-4.086 -3.050 2.509
2.239 -1.618 -4.965
3.907 -3.813 2.576
Li Ca Mg Si N
2 2 2 2 6
Direct
0.675 0.675 0.093
0.325 0.325 0.907
0.680 0.320 0.500
0.320 0.680 0.500
0.766 0.234 0.000
0.234 0.766 0.000
0.130 0.130 0.321
0.870 0.870 0.679
0.808 0.808 0.390
0.192 0.192 0.610
0.898 0.607 0.810
0.607 0.898 0.810
0.102 0.393 0.190
0.393 0.102 0.190
```

Output
size of the total moment: 0.0 μB per cell
energy relative to the elements: -1.173 eV per atom

---

NdRu3 | PBE-GGA | optimized geometry

```
NdRu3
1.0
2.701 -0.890 -1.380
0.604 4.817 -1.924
1.989 -1.213 4.673
Nd Ru
1 3
Direct
0.000 0.000 0.000
0.500 0.500 0.500
0.500 0.000 0.500
0.500 0.500 0.000
```

Output
size of the total moment: 0.0 μB per cell
energy relative to the elements: 0.528 eV per atom